Entry 1:
First-principles (r²SCAN) data for a geometry-optimized Na2SO4 structure, as listed in the Materials Project database.

Structure (POSCAR):
```
Na2SO4
1.0
5.515 0.014 -1.252
-3.021 4.614 -1.252
-0.002 -0.004 6.761
Na S O
4 2 8
Cartesian
1.756 2.038 0.438 Na
-1.398 3.738 0.438 Na
3.889 0.886 3.819 Na
0.735 2.586 3.819 Na
4.447 0.588 0.438 S
-1.956 4.036 3.819 S
0.832 0.831 5.457 O
-0.992 3.984 2.698 O
2.255 3.470 2.180 O
-1.382 3.259 4.939 O
1.659 3.793 -1.200 O
3.483 0.640 1.559 O
3.874 1.364 -0.682 O
0.237 1.154 2.077 O
```

Results
Crystal system: orthorhombic
Energy of formation from the pure elements in eV per atom: -1.994


Entry 2:
First-principles (r²SCAN) data for a geometry-optimized HfPd2 structure, as listed in the Materials Project database.

Structure (POSCAR):
```
HfPd2
1.0
0.327 -3.090 3.887
1.317 1.570 4.535
-3.130 1.177 -3.685
Hf Pd
1 2
Cartesian
0.000 0.000 0.000 Hf
0.557 -0.515 2.855 Pd
1.087 -1.005 5.566 Pd
```

Results
Crystal system: tetragonal
Energy of formation from the pure elements in eV per atom: -0.835


Entry 3:
First-principles (r²SCAN) data for a geometry-optimized Rb2LiNdB2O6 structure, as listed in the Materials Project database.

Structure (POSCAR):
```
Rb2LiNdB2O6
1.0
7.099 0.000 0.000
0.000 9.707 0.000
0.000 0.000 10.123
Rb Li Nd B O
8 4 4 8 24
Cartesian
1.979 4.038 9.557 Rb
5.120 5.669 4.495 Rb
1.979 0.815 0.567 Rb
5.120 8.891 5.628 Rb
5.120 5.669 0.567 Rb
1.979 4.038 5.628 Rb
5.120 8.891 9.557 Rb
1.979 0.815 4.495 Rb
3.189 1.468 7.593 Li
3.910 8.238 2.531 Li
3.189 3.385 2.531 Li
3.910 6.322 7.593 Li
6.114 2.554 7.593 Nd
0.985 7.153 2.531 Nd
6.114 2.299 2.531 Nd
0.985 7.408 7.593 Nd
4.895 2.427 0.000 B
2.204 7.280 5.062 B
2.204 7.280 0.000 B
4.895 2.427 5.062 B
5.970 5.448 7.593 B
1.128 4.259 2.531 B
5.970 9.113 2.531 B
1.128 0.594 7.593 B
0.144 4.911 7.593 O
6.955 4.796 2.531 O
0.144 9.649 2.531 O
6.955 0.058 7.593 O
6.296 2.427 0.000 O
0.803 7.280 5.062 O
0.803 7.280 0.000 O
6.296 2.427 5.062 O
1.324 1.967 7.593 O
5.775 7.739 2.531 O
1.324 2.886 2.531 O
5.775 6.821 7.593 O
4.870 4.619 7.593 O
2.229 5.088 2.531 O
4.870 0.234 2.531 O
2.229 9.473 7.593 O
4.249 1.896 6.148 O
2.850 7.811 1.086 O
4.249 2.957 3.976 O
2.850 6.749 9.038 O
2.850 7.811 3.976 O
4.249 1.896 9.038 O
2.850 6.749 6.148 O
4.249 2.957 1.086 O
```

Results
Crystal system: orthorhombic
Energy of formation from the pure elements in eV per atom: -2.724


Entry 4:
First-principles (r²SCAN) data for a geometry-optimized La2MgAl structure, as listed in the Materials Project database.

Structure (POSCAR):
```
La2MgAl
1.0
-4.598 -2.682 1.318
-1.599 -0.291 5.237
-4.414 2.787 1.678
La Mg Al
2 1 1
Cartesian
-2.653 -0.046 2.058 La
-7.958 -0.139 6.175 La
0.000 0.000 0.000 Mg
-5.305 -0.093 4.117 Al
```

Results
Crystal system: cubic
Energy of formation from the pure elements in eV per atom: -0.272


Entry 5:
First-principles (r²SCAN) data for a geometry-optimized BaEr2Se4 structure, as listed in the Materials Project database.

Structure (POSCAR):
```
BaEr2Se4
1.0
-0.236 3.259 -2.583
-12.204 1.768 3.348
4.372 9.129 11.120
Ba Er Se
4 8 16
Cartesian
-7.852 5.222 5.629 Ba
-2.501 2.771 2.047 Ba
-0.216 8.934 6.256 Ba
-5.568 11.384 9.838 Ba
-3.670 5.156 5.163 Er
-11.007 3.463 3.699 Er
-4.398 9.000 6.721 Er
2.938 10.692 8.186 Er
-1.264 9.776 10.773 Er
-8.678 7.920 9.109 Er
-6.805 4.380 1.111 Er
0.610 6.236 2.776 Er
1.093 8.851 9.390 Se
-5.799 8.086 9.055 Se
-9.161 5.304 2.494 Se
-2.269 6.070 2.829 Se
0.721 5.820 5.599 Se
-3.408 10.825 12.292 Se
-8.789 8.335 6.285 Se
-4.660 3.331 -0.408 Se
-5.504 3.717 3.515 Se
0.891 3.445 2.586 Se
-2.564 10.439 8.370 Se
-8.959 10.711 9.298 Se
-2.621 6.809 7.152 Se
-7.201 10.870 12.696 Se
-5.447 7.347 4.732 Se
-0.867 3.286 -0.812 Se
```

Results
Crystal system: orthorhombic
Energy of formation from the pure elements in eV per atom: -2.272


Entry 6:
First-principles (r²SCAN) data for a geometry-optimized TlCr3O8 structure, as listed in the Materials Project database.

Structure (POSCAR):
```
TlCr3O8
1.0
-1.746 4.745 -0.550
-3.493 0.607 -3.648
-10.263 -3.879 10.971
Tl Cr O
2 6 16
Cartesian
-5.237 5.350 -4.196 Tl
-5.133 -1.937 5.485 Tl
-9.444 1.836 7.678 Cr
-6.058 -0.362 -0.905 Cr
-5.565 0.650 2.270 Cr
-10.697 -1.290 7.756 Cr
-4.805 2.764 -0.982 Cr
-9.937 0.823 4.503 Cr
-4.017 0.123 2.102 O
-9.149 -1.818 7.588 O
-6.353 3.292 -0.814 O
-11.485 1.351 4.670 O
-6.287 -0.005 3.552 O
-11.420 -1.945 9.038 O
-4.083 3.418 -2.264 O
-9.215 1.478 3.220 O
-5.571 2.316 2.470 O
-10.703 0.375 7.956 O
-3.919 3.184 0.378 O
-9.051 1.244 5.864 O
-4.799 1.098 -1.182 O
-9.931 -0.842 4.303 O
-6.451 0.230 0.909 O
-11.583 -1.710 6.394 O
```

Results
Crystal system: monoclinic
Energy of formation from the pure elements in eV per atom: -1.859